This record from Materials Project describes a geometry-optimized ErCoC structure. The functional is PBE.

```
data_ErCoC
_chemical_formula_sum 'Er2 Co2 C2'
_cell_length_a 3.6087
_cell_length_b 3.6087
_cell_length_c 6.7967
_cell_angle_alpha 90.00
_cell_angle_beta 90.00
_cell_angle_gamma 90.00
_symmetry_space_group_name_H-M 'P 1'
_symmetry_Int_Tables_number 1
_symmetry_space_group_name_Hall 'P 1'
loop_
_atom_site_label
_atom_site_type_symbol
_atom_site_fract_x
_atom_site_fract_y
_atom_site_fract_z
_atom_site_occupancy
Er1 Er 0.0000 0.0000 0.2500 1
Er2 Er 0.0000 0.0000 0.7500 1
Co1 Co 0.5000 0.5000 0.0000 1
Co2 Co 0.5000 0.5000 0.5000 1
C1 C 0.0000 0.5000 0.0000 1
C2 C 0.5000 0.0000 0.5000 1
```

Summary:
Crystal system   tetragonal
Space-group type   P4_2/mmc
V   14.752 Å³/atom
Energy above the most stable polymorph in this dataset   0.0000 eV/atom
Total energy   -7.308 eV/atom

---

This record from Materials Project describes a geometry-optimized ErCoC6N6 structure. The functional is PBE.

```
data_ErCoC6N6
_chemical_formula_sum 'Er2 Co2 C12 N12'
_cell_length_a 7.4033
_cell_length_b 7.4033
_cell_length_c 13.0000
_cell_angle_alpha 90.00
_cell_angle_beta 90.00
_cell_angle_gamma 120.00
_symmetry_space_group_name_H-M 'P 1'
_symmetry_Int_Tables_number 1
_symmetry_space_group_name_Hall 'P 1'
loop_
_atom_site_label
_atom_site_type_symbol
_atom_site_fract_x
_atom_site_fract_y
_atom_site_fract_z
_atom_site_occupancy
Er1 Er 0.3333 0.6667 0.2500 1
Er2 Er 0.6667 0.3333 0.7500 1
Co1 Co 0.0000 0.0000 0.0000 1
Co2 Co 0.0000 0.0000 0.5000 1
C1 C 0.1185 0.2371 0.0836 1
C2 C 0.1185 0.2371 0.4164 1
C3 C 0.1185 0.8815 0.0836 1
C4 C 0.1185 0.8815 0.4164 1
C5 C 0.2371 0.1185 0.5836 1
C6 C 0.2371 0.1185 0.9164 1
C7 C 0.7629 0.8815 0.0836 1
C8 C 0.7629 0.8815 0.4164 1
C9 C 0.8815 0.1185 0.5836 1
C10 C 0.8815 0.1185 0.9164 1
C11 C 0.8815 0.7629 0.5836 1
C12 C 0.8815 0.7629 0.9164 1
N1 N 0.1919 0.3838 0.1371 1
N2 N 0.1919 0.3838 0.3629 1
N3 N 0.1919 0.8081 0.1371 1
N4 N 0.1919 0.8081 0.3629 1
N5 N 0.3838 0.1919 0.6371 1
N6 N 0.3838 0.1919 0.8629 1
N7 N 0.6162 0.8081 0.1371 1
N8 N 0.6162 0.8081 0.3629 1
N9 N 0.8081 0.1919 0.6371 1
N10 N 0.8081 0.1919 0.8629 1
N11 N 0.8081 0.6162 0.6371 1
N12 N 0.8081 0.6162 0.8629 1
```

Summary:
Crystal system   hexagonal
Space-group type   P6_3/mmc
V   22.038 Å³/atom
Size of the total moment   0.000 μB/atom
Total energy   -8.455 eV/atom

---

This record from Materials Project describes a geometry-optimized Fe2CoC structure. The functional is PBE.

```
data_Fe2CoC
_chemical_formula_sum 'Fe8 Co4 C4'
_cell_length_a 4.9767
_cell_length_b 6.7099
_cell_length_c 4.4761
_cell_angle_alpha 90.00
_cell_angle_beta 90.00
_cell_angle_gamma 90.00
_symmetry_space_group_name_H-M 'P 1'
_symmetry_Int_Tables_number 1
_symmetry_space_group_name_Hall 'P 1'
loop_
_atom_site_label
_atom_site_type_symbol
_atom_site_fract_x
_atom_site_fract_y
_atom_site_fract_z
_atom_site_occupancy
Fe1 Fe 0.1804 0.0699 0.1675 1
Fe2 Fe 0.1804 0.4301 0.1675 1
Fe3 Fe 0.3196 0.5699 0.6675 1
Fe4 Fe 0.3196 0.9301 0.6675 1
Fe5 Fe 0.6804 0.0699 0.3325 1
Fe6 Fe 0.6804 0.4301 0.3325 1
Fe7 Fe 0.8196 0.5699 0.8325 1
Fe8 Fe 0.8196 0.9301 0.8325 1
Co1 Co 0.0391 0.2500 0.6586 1
Co2 Co 0.4609 0.7500 0.1586 1
Co3 Co 0.5391 0.2500 0.8414 1
Co4 Co 0.9609 0.7500 0.3414 1
C1 C 0.1224 0.7500 0.9480 1
C2 C 0.3776 0.2500 0.4480 1
C3 C 0.6224 0.7500 0.5520 1
C4 C 0.8776 0.2500 0.0520 1
```

Summary:
Crystal system   orthorhombic
Space-group type   Pnma
V   9.342 Å³/atom
Size of the total moment   1.166 μB/atom
Total energy   -8.248 eV/atom

---

Number 1: energy relative to the elements -1.02 eV per formula unit. Number 2: energy relative to the elements -3.48 eV per formula unit. Number 3: energy relative to the elements 0.28 eV per formula unit.